Run P
! LiFePH2O5 PBE+U relaxed; values from VASP
&SYSTEM
  ibrav = 0, nat = 20, ntyp = 5
/
ATOMIC_SPECIES
Li 6.94 Li.upf
H 1.01 H.upf
O 16.00 O.upf
P 30.97 P.upf
Fe 55.84 Fe.upf
ATOMIC_POSITIONS crystal
Li 0.075 0.000 0.467
Li 0.575 0.500 0.533
H 0.587 0.861 0.782
H 0.087 0.639 0.218
H 0.087 0.361 0.218
H 0.587 0.139 0.782
O 0.213 0.500 0.220
O 0.171 0.500 0.577
O 0.721 0.783 0.139
O 0.221 0.283 0.861
O 0.671 0.000 0.423
O 0.221 0.717 0.861
O 0.713 0.000 0.780
O 0.757 0.500 0.779
O 0.257 0.000 0.221
O 0.721 0.217 0.139
P 0.086 0.500 0.764
P 0.586 0.000 0.236
Fe 0.516 0.500 0.018
Fe 0.016 0.000 0.982
CELL_PARAMETERS angstrom
-3.096 -3.542 0.039
4.123 -3.588 1.475
-1.512 1.407 7.648
! crystal system: orthorhombic
! total magnetic moment: 8.0 μB/cell

Run Q
! LiFePH2O5 PBE+U relaxed; values from VASP
&SYSTEM
  ibrav = 0, nat = 80, ntyp = 5
/
ATOMIC_SPECIES
H 1.01 H.upf
O 16.00 O.upf
Li 6.94 Li.upf
P 30.97 P.upf
Fe 55.84 Fe.upf
ATOMIC_POSITIONS crystal
H 0.819 0.102 0.816
H 0.390 0.066 0.877
H 0.181 0.102 0.316
H 0.610 0.566 0.123
H 0.068 0.994 0.379
H 0.932 0.994 0.879
H 0.068 0.494 0.121
H 0.181 0.602 0.184
H 0.932 0.494 0.621
H 0.610 0.066 0.377
H 0.291 0.960 0.941
H 0.709 0.960 0.441
H 0.819 0.602 0.684
H 0.709 0.460 0.059
H 0.390 0.566 0.623
H 0.291 0.460 0.559
O 0.030 0.863 0.951
O 0.536 0.833 0.074
O 0.301 0.696 0.399
O 0.118 0.236 0.678
O 0.965 0.038 0.828
O 0.035 0.538 0.172
O 0.864 0.117 0.047
O 0.882 0.882 0.649
O 0.555 0.950 0.205
O 0.433 0.525 0.572
O 0.567 0.025 0.428
O 0.424 0.704 0.199
O 0.965 0.538 0.672
O 0.699 0.196 0.601
O 0.301 0.196 0.101
O 0.136 0.117 0.547
O 0.118 0.882 0.149
O 0.118 0.736 0.822
O 0.464 0.333 0.926
O 0.030 0.363 0.549
O 0.445 0.950 0.705
O 0.136 0.617 0.953
O 0.567 0.525 0.072
O 0.882 0.382 0.851
O 0.433 0.025 0.928
O 0.445 0.450 0.795
O 0.035 0.038 0.328
O 0.555 0.450 0.295
O 0.424 0.204 0.301
O 0.970 0.363 0.049
O 0.699 0.696 0.899
O 0.864 0.617 0.453
O 0.576 0.704 0.699
O 0.464 0.833 0.574
O 0.536 0.333 0.426
O 0.576 0.204 0.801
O 0.882 0.236 0.178
O 0.118 0.382 0.351
O 0.882 0.736 0.322
O 0.970 0.863 0.451
Li 0.474 0.149 0.695
Li 0.106 0.421 0.945
Li 0.106 0.921 0.555
Li 0.526 0.649 0.305
Li 0.894 0.421 0.445
Li 0.474 0.649 0.805
Li 0.526 0.149 0.195
Li 0.894 0.921 0.055
P 0.008 0.229 0.094
P 0.008 0.729 0.406
P 0.407 0.341 0.343
P 0.992 0.729 0.906
P 0.593 0.341 0.843
P 0.407 0.841 0.157
P 0.992 0.229 0.594
P 0.593 0.841 0.657
Fe 0.475 0.682 0.997
Fe 0.096 0.896 0.748
Fe 0.525 0.182 0.003
Fe 0.096 0.396 0.752
Fe 0.475 0.182 0.503
Fe 0.525 0.682 0.497
Fe 0.904 0.396 0.252
Fe 0.904 0.896 0.248
CELL_PARAMETERS angstrom
-0.871 -0.415 5.066
-8.901 -4.209 -1.875
7.265 -15.362 -0.008
! crystal system: orthorhombic
! total magnetic moment: 32.0 μB/cell

Run R
! LiFePH2O5 PBE+U relaxed; values from VASP
&SYSTEM
  ibrav = 0, nat = 40, ntyp = 5
/
ATOMIC_SPECIES
O 16.00 O.upf
P 30.97 P.upf
Li 6.94 Li.upf
Fe 55.84 Fe.upf
H 1.01 H.upf
ATOMIC_POSITIONS crystal
O 0.137 0.173 0.282
O 0.758 0.411 0.985
O 0.690 0.673 0.445
O 0.641 0.404 0.333
O 0.560 0.064 0.192
O 0.637 0.827 0.718
O 0.137 0.327 0.782
O 0.060 0.564 0.308
O 0.258 0.911 0.515
O 0.637 0.673 0.218
O 0.690 0.827 0.945
O 0.060 0.936 0.808
O 0.258 0.589 0.015
O 0.190 0.327 0.555
O 0.190 0.173 0.055
O 0.141 0.596 0.667
O 0.560 0.436 0.692
O 0.758 0.089 0.485
O 0.641 0.096 0.833
O 0.141 0.904 0.167
P 0.257 0.079 0.173
P 0.757 0.579 0.327
P 0.757 0.921 0.827
P 0.257 0.421 0.673
Li 0.760 0.323 0.815
Li 0.260 0.677 0.185
Li 0.260 0.823 0.685
Li 0.760 0.177 0.315
Fe 0.254 0.369 0.380
Fe 0.754 0.869 0.120
Fe 0.254 0.131 0.880
Fe 0.754 0.631 0.620
H 0.324 0.670 0.957
H 0.591 0.454 0.017
H 0.091 0.954 0.483
H 0.091 0.546 0.983
H 0.824 0.170 0.543
H 0.324 0.830 0.457
H 0.591 0.046 0.517
H 0.824 0.330 0.043
CELL_PARAMETERS angstrom
5.086 0.000 0.000
0.000 8.215 0.000
0.000 0.000 11.021
! crystal system: orthorhombic
! total magnetic moment: 16.0 μB/cell

Run S
! LiFePH2O5 PBE+U relaxed; values from VASP
&SYSTEM
  ibrav = 0, nat = 40, ntyp = 5
/
ATOMIC_SPECIES
O 16.00 O.upf
H 1.01 H.upf
Li 6.94 Li.upf
P 30.97 P.upf
Fe 55.84 Fe.upf
ATOMIC_POSITIONS crystal
O 0.194 0.904 0.485
O 0.061 0.586 0.330
O 0.061 0.914 0.830
O 0.694 0.404 0.015
O 0.090 0.316 0.219
O 0.590 0.684 0.781
O 0.090 0.184 0.719
O 0.126 0.175 0.950
O 0.126 0.325 0.450
O 0.590 0.816 0.281
O 0.694 0.096 0.515
O 0.561 0.414 0.670
O 0.493 0.064 0.816
O 0.993 0.564 0.684
O 0.626 0.675 0.550
O 0.194 0.596 0.985
O 0.626 0.825 0.050
O 0.493 0.436 0.316
O 0.993 0.936 0.184
O 0.561 0.086 0.170
H 0.643 0.186 0.462
H 0.876 0.069 0.493
H 0.876 0.431 0.993
H 0.143 0.814 0.538
H 0.376 0.931 0.507
H 0.643 0.314 0.962
H 0.143 0.686 0.038
H 0.376 0.569 0.007
Li 0.196 0.123 0.116
Li 0.696 0.623 0.384
Li 0.696 0.877 0.884
Li 0.196 0.377 0.616
P 0.189 0.413 0.333
P 0.189 0.087 0.833
P 0.689 0.587 0.667
P 0.689 0.913 0.167
Fe 0.199 0.813 0.303
Fe 0.699 0.313 0.197
Fe 0.199 0.687 0.803
Fe 0.699 0.187 0.697
CELL_PARAMETERS angstrom
-4.115 -0.164 -3.025
4.569 -3.215 -6.041
-2.294 -10.160 3.672
! crystal system: orthorhombic
! total magnetic moment: 16.0 μB/cell

Among the structures above, stability is smallest for run P.